# 1
# Nb6Sn5 (r2SCAN, relaxed)
data_Nb6Sn5
_cell_length_a 5.676
_cell_length_b 9.285
_cell_length_c 16.928
_cell_angle_alpha 90.00
_cell_angle_beta 90.00
_cell_angle_gamma 90.00
_space_group_name_H-M_alt 'I m m m'
_space_group_IT_number 71
_space_group_name_Hall '-I 2 2'
loop_
_atom_site_label
_atom_site_type_symbol
_atom_site_fract_x
_atom_site_fract_y
_atom_site_fract_z
Nb1 Nb 0.000 0.000 0.154
Nb2 Nb 0.000 0.271 0.416
Nb3 Nb 0.242 0.000 0.500
Nb4 Nb 0.250 0.250 0.250
Sn1 Sn 0.000 0.000 0.332
Sn2 Sn 0.000 0.307 0.104
Sn3 Sn 0.000 0.500 0.295
Sn4 Sn 0.244 0.000 0.000
# Energy of formation (eV per atom): -0.183
# Magnetization (μB per cell): 0.00
# Energy (eV per formula unit): -274.1

# 2
# PrMg12 (r2SCAN, relaxed)
data_PrMg12
_cell_length_a 11.820
_cell_length_b 10.236
_cell_length_c 5.905
_cell_angle_alpha 90.00
_cell_angle_beta 119.89
_cell_angle_gamma 90.00
_space_group_name_H-M_alt 'C 1 2/m 1'
_space_group_IT_number 12
_space_group_name_Hall '-C 2y'
loop_
_atom_site_label
_atom_site_type_symbol
_atom_site_fract_x
_atom_site_fract_y
_atom_site_fract_z
Pr1 Pr 0.000 0.000 0.000
Mg1 Mg 0.000 0.212 0.500
Mg2 Mg 0.000 0.352 0.000
Mg3 Mg 0.148 0.500 0.647
Mg4 Mg 0.212 0.000 0.712
Mg5 Mg 0.250 0.250 0.000
Mg6 Mg 0.250 0.250 0.500
# Energy of formation (eV per atom): -0.054
# Magnetization (μB per cell): 0.00
# Energy (eV per formula unit): -80.1

# 3
# CsNi2F6 (r2SCAN, relaxed)
data_CsNi2F6
_cell_length_a 7.145
_cell_length_b 7.147
_cell_length_c 10.105
_cell_angle_alpha 90.00
_cell_angle_beta 90.00
_cell_angle_gamma 90.00
_space_group_name_H-M_alt 'I m m a'
_space_group_IT_number 74
_space_group_name_Hall '-I 2b 2'
loop_
_atom_site_label
_atom_site_type_symbol
_atom_site_fract_x
_atom_site_fract_y
_atom_site_fract_z
Cs1 Cs 0.000 0.250 0.126
Ni1 Ni 0.000 0.000 0.500
Ni2 Ni 0.250 0.250 0.750
F1 F 0.000 0.250 0.432
F2 F 0.000 0.250 0.819
F3 F 0.193 0.056 0.625
# Energy of formation (eV per atom): -2.381
# Magnetization (μB per cell): 12.03
# Energy (eV per formula unit): -89.3

# 4
# Sr10Mg5Mo4WO30 (r2SCAN, relaxed)
data_Sr10Mg5Mo4WO30
_cell_length_a 5.573
_cell_length_b 5.585
_cell_length_c 23.055
_cell_angle_alpha 89.58
_cell_angle_beta 83.16
_cell_angle_gamma 60.10
_space_group_name_H-M_alt 'P -1'
_space_group_IT_number 2
_space_group_name_Hall '-P 1'
loop_
_atom_site_label
_atom_site_type_symbol
_atom_site_fract_x
_atom_site_fract_y
_atom_site_fract_z
Sr1 Sr 0.003 0.249 0.250
Sr2 Sr 0.198 0.150 0.950
Sr3 Sr 0.202 0.650 0.450
Sr4 Sr 0.399 0.550 0.151
Sr5 Sr 0.401 0.050 0.650
Mg1 Mg 0.102 0.199 0.100
Mg2 Mg 0.301 0.599 0.300
Mg3 Mg 0.500 0.000 0.500
Mo1 Mo 0.100 0.700 0.600
Mo2 Mo 0.299 0.101 0.800
W1 W 0.500 0.500 0.000
O1 O 0.045 0.246 0.743
O2 O 0.073 0.968 0.841
O3 O 0.087 0.444 0.846
O4 O 0.113 0.956 0.354
O5 O 0.127 0.432 0.359
O6 O 0.154 0.154 0.457
O7 O 0.247 0.646 0.942
O8 O 0.272 0.367 0.041
O9 O 0.286 0.844 0.046
O10 O 0.312 0.357 0.554
O11 O 0.326 0.833 0.559
O12 O 0.353 0.554 0.657
O13 O 0.446 0.046 0.143
O14 O 0.474 0.767 0.241
O15 O 0.488 0.243 0.246
# Energy of formation (eV per atom): -2.933
# Magnetization (μB per cell): 0.00
# Energy (eV per formula unit): -653.8

# 5
# Tm6FeBi2 (r2SCAN, relaxed)
data_Tm6FeBi2
_cell_length_a 8.1929
_cell_length_b 8.1929
_cell_length_c 4.1536
_cell_angle_alpha 90.00
_cell_angle_beta 90.00
_cell_angle_gamma 120.00
_space_group_name_H-M_alt 'P -6 2 m'
_space_group_IT_number 189
_space_group_name_Hall 'P -6 -2'
loop_
_atom_site_label
_atom_site_type_symbol
_atom_site_fract_x
_atom_site_fract_y
_atom_site_fract_z
Tm1 Tm 0.0000 0.2335 0.0000
Tm2 Tm 0.0000 0.6103 0.5000
Fe1 Fe 0.0000 0.0000 0.5000
Bi1 Bi 0.3333 0.6667 0.0000
# Energy of formation (eV per atom): -0.473
# Magnetization (μB per cell): 0.75
# Energy (eV per formula unit): -346.4

# 6
# UGa5Fe (r2SCAN, relaxed)
data_UGa5Fe
_cell_length_a 4.301
_cell_length_b 4.301
_cell_length_c 6.618
_cell_angle_alpha 90.00
_cell_angle_beta 90.00
_cell_angle_gamma 90.00
_space_group_name_H-M_alt 'P 4/m m m'
_space_group_IT_number 123
_space_group_name_Hall '-P 4 2'
loop_
_atom_site_label
_atom_site_type_symbol
_atom_site_fract_x
_atom_site_fract_y
_atom_site_fract_z
U1 U 0.000 0.000 0.000
Ga1 Ga 0.000 0.500 0.309
Ga2 Ga 0.500 0.500 0.000
Fe1 Fe 0.000 0.000 0.500
# Energy of formation (eV per atom): -0.269
# Magnetization (μB per cell): 0.75
# Energy (eV per formula unit): -153.5